5
Lattice="4.8953 0.0000 0.0000 0.0000 4.8953 0.0000 0.0000 0.0000 4.8953" Properties=species:S:1:pos:R:3 comment="Y3AlC, relaxed, DFT GGA-PBE" formation_enthalpy_0k_ev_per_atom=-0.418 pbc="T T T"
Y 0.0000 2.4476 2.4476
Y 2.4476 2.4476 0.0000
Y 2.4476 0.0000 2.4476
Al 0.0000 0.0000 0.0000
C 2.4476 2.4476 2.4476

22
Lattice="0.7982 0.9437 3.0710 -1.4529 -2.9312 -0.5058 26.4070 -12.5712 -3.0009" Properties=species:S:1:pos:R:3 comment="Zr3Al3C5, relaxed, DFT GGA-PBE" formation_enthalpy_0k_ev_per_atom=-0.181 total_magnetization_mub_per_cell=0.004 polymorph_energy_mev_per_atom=344 pbc="T T T"
Zr 23.3148 -13.0732 -2.0429
Zr 10.8617 -5.4959 0.6498
Zr 13.2035 -6.2856 -1.5004
Zr 14.8906 -9.0628 -1.0856
Zr 0.0000 0.0000 0.0000
Zr 2.4375 -1.4855 1.6072
C 11.2377 -7.3238 -0.6704
C 5.8992 -4.7824 -0.0638
C 9.2492 -4.4031 -1.0511
C 22.4526 -10.6887 -2.5515
C 19.8531 -9.7763 -0.3720
C 25.1915 -12.3177 -0.9786
C 3.9543 -1.8825 -0.4494
C 0.5608 -2.2410 0.5429
C 17.1578 -8.1681 -1.9498
C 14.5147 -7.2349 0.2347
Al 17.2211 -10.1722 -1.3504
Al 4.7680 -2.5950 1.3423
Al 20.9843 -11.9637 -1.7781
Al 8.5312 -4.3865 0.9147
Al 19.8052 -9.4284 -2.2507
Al 6.6017 -3.1428 -0.7502

22
Lattice="1.6811 -2.9118 0.0000 1.6811 2.9118 0.0000 0.0000 0.0000 27.7497" Properties=species:S:1:pos:R:3 comment="Zr3Al3C5, relaxed, DFT GGA-PBE" formation_enthalpy_0k_ev_per_atom=-0.525 polymorph_energy_mev_per_atom=0 pbc="T T T"
Al 0.0000 0.0000 6.9374
Al 1.6811 0.9706 8.9523
Al 1.6811 0.9706 4.9226
Al 0.0000 0.0000 20.8123
Al 1.6811 -0.9706 18.7974
Al 1.6811 -0.9706 22.8272
Zr 1.6811 -0.9706 11.2197
Zr 1.6811 0.9706 25.0945
Zr 0.0000 0.0000 0.0000
Zr 1.6811 0.9706 16.5301
Zr 1.6811 -0.9706 2.6552
Zr 0.0000 0.0000 13.8749
C 0.0000 0.0000 4.2333
C 1.6811 0.9706 6.9374
C 1.6811 0.9706 1.3931
C 1.6811 -0.9706 15.2680
C 0.0000 0.0000 18.1081
C 1.6811 -0.9706 20.8123
C 1.6811 0.9706 12.4818
C 1.6811 -0.9706 26.3566
C 0.0000 0.0000 23.5165
C 0.0000 0.0000 9.6416

6
Lattice="-4.0081 -4.0081 0.0000 -4.0081 0.0000 -4.0081 0.0000 -4.0081 -4.0081" Properties=species:S:1:pos:R:3 comment="CaAl2, relaxed, DFT GGA-PBE" formation_enthalpy_0k_ev_per_atom=-0.333 pbc="T T T"
Al -5.0101 -3.0060 -5.0101
Al -5.0101 -5.0101 -3.0060
Al -3.0060 -5.0101 -5.0101
Al -3.0060 -3.0060 -3.0060
Ca 0.0000 0.0000 0.0000
Ca -6.0121 -6.0121 -6.0121

22
Lattice="9.4383 0.0000 0.0000 -4.6992 8.2728 0.0000 -1.8135 -2.7268 9.0127" Properties=species:S:1:pos:R:3 comment="Ca8Al3, relaxed, DFT GGA-PBE" formation_enthalpy_0k_ev_per_atom=-0.155 pbc="T T T"
Ca -1.1786 6.9695 0.9869
Ca 1.6603 0.4606 6.3248
Ca -0.5188 1.6096 0.9609
Ca 4.0782 3.8218 0.9816
Ca 2.3897 1.5242 3.1487
Ca 1.2652 5.0853 2.6879
Ca 4.1042 -1.4236 8.0258
Ca 3.4444 3.9364 8.0518
Ca 5.2243 1.5559 5.8526
Ca 6.0556 0.4459 2.7040
Ca -1.1526 1.7242 8.0312
Ca 0.5359 4.0217 5.8641
Ca 7.5472 -1.3238 6.0318
Ca -2.2987 3.9900 3.1601
Ca -3.1301 5.1000 6.3088
Ca -4.6216 6.8697 2.9810
Al 3.8124 -1.3634 4.5064
Al 0.5462 -1.3320 8.7704
Al 2.3794 6.8780 0.2424
Al -2.3496 4.1364 0.0000
Al 3.7869 4.1205 4.5082
Al -0.8614 1.4254 4.5045

27
Lattice="4.9248 7.6865 0.0000 -4.9248 7.6865 0.0000 0.0000 3.0070 9.2109" Properties=species:S:1:pos:R:3 comment="Ca13Al14, relaxed, DFT GGA-PBE" formation_enthalpy_0k_ev_per_atom=-0.260 pbc="T T T"
Ca -2.9247 11.8420 5.8451
Ca 0.0000 8.2515 1.8709
Ca -2.7692 10.4906 2.0923
Ca 0.0000 5.7794 8.4359
Ca 0.0000 1.5035 4.6054
Ca 0.0000 12.6006 0.7750
Ca 2.9247 6.5380 3.3658
Ca 2.9247 11.8420 5.8451
Ca -2.9247 6.5380 3.3658
Ca 0.0000 10.1285 7.3400
Ca -2.7692 7.8894 7.1185
Ca 2.7692 7.8894 7.1185
Ca 2.7692 10.4906 2.0923
Al 2.7092 7.6865 0.0000
Al -1.4415 9.1900 4.6054
Al 0.0000 13.3531 6.0526
Al 1.3409 5.4912 0.7629
Al -1.3409 5.4912 0.7629
Al 1.3409 12.8888 8.4479
Al -1.3409 12.8888 8.4479
Al 0.0000 2.5644 7.7563
Al 0.0000 11.4517 3.9693
Al -2.7092 7.6865 0.0000
Al 0.0000 15.8156 1.4545
Al 1.4415 9.1900 4.6054
Al 0.0000 5.0269 3.1582
Al 0.0000 6.9283 5.2416

10
Lattice="-6.0198 -6.0198 0.0000 -6.0198 0.0000 -6.0198 0.0000 -6.0198 -6.0198" Properties=species:S:1:pos:R:3 comment="Ca4Al, relaxed, DFT GGA-PBE" formation_enthalpy_0k_ev_per_atom=0.340 total_magnetization_mub_per_cell=0.039 pbc="T T T"
Ca -7.3437 -7.3437 -7.3437
Ca -4.3337 -4.3337 -1.6861
Ca -4.3337 -1.6861 -4.3337
Ca -7.3437 -4.6960 -4.6960
Ca -1.6861 -1.6861 -1.6861
Ca -4.6960 -4.6960 -7.3437
Ca -4.6960 -7.3437 -4.6960
Ca -1.6861 -4.3337 -4.3337
Al -9.0298 -9.0298 -9.0298
Al 0.0000 0.0000 0.0000

44
Lattice="-7.7584 -8.6235 5.7186 -7.8839 7.8581 6.5843 2.7138 0.6839 -12.6264" Properties=species:S:1:pos:R:3 comment="CaAl2Cl8, relaxed, DFT GGA-PBE" formation_enthalpy_0k_ev_per_atom=-2.226 pbc="T T T"
Al -10.9395 1.8610 6.3562
Al -7.2598 -2.0526 2.7315
Al -1.7582 2.1625 -6.1308
Al -5.7034 6.5146 -2.8164
Al -5.8997 -2.1338 -3.6039
Al -9.8449 2.2184 -0.2895
Al -7.0571 5.7496 3.4746
Al -3.3773 1.8360 -0.1500
Ca 0.0000 0.0000 0.0000
Ca -6.4329 -4.1611 -0.3782
Ca -6.4957 4.0796 0.0547
Ca -7.8212 -0.3827 6.1515
Cl -5.4890 -3.1389 2.0912
Cl -4.5934 2.3840 -1.8331
Cl -0.9439 -1.0222 -2.4694
Cl -7.9247 -2.7932 4.6641
Cl -6.5743 -1.6099 -1.6049
Cl -10.7268 -1.7948 -1.8316
Cl -3.1547 -0.2754 0.1728
Cl 1.7918 0.7599 -9.5929
Cl -13.0054 1.2030 6.5126
Cl -5.5110 -4.2371 -3.4117
Cl -4.1461 -0.9596 -4.1255
Cl -1.7701 -3.5706 -6.3314
Cl -9.9525 0.8209 4.7223
Cl -9.9955 -2.2778 7.4700
Cl -8.6347 -2.4478 1.1299
Cl -3.2782 -3.8857 -0.5510
Cl -5.0288 5.9907 -4.8154
Cl -1.9490 0.0934 -6.6732
Cl -0.7884 3.3829 -7.6459
Cl -8.3077 -6.0740 1.3201
Cl -7.7693 1.6118 -0.5124
Cl -6.3921 6.4902 1.5420
Cl -6.9029 0.0246 3.1434
Cl -3.8338 2.7690 -5.9079
Cl -7.0097 1.9969 -4.5872
Cl -7.4569 5.3405 -2.2948
Cl -7.4139 3.6723 3.0628
Cl -4.3644 2.8761 1.4839
Cl -10.8147 0.9980 1.2256
Cl -12.0797 -2.6487 4.4548
Cl -13.7675 1.1474 10.6047
Cl -9.0698 -6.1295 5.4121

60
Lattice="-6.0635 6.0635 6.0392 6.0635 -6.0635 6.0392 6.0635 6.0635 -6.0392" Properties=species:S:1:pos:R:3 comment="Ca6Al7ClO16, relaxed, DFT GGA-PBE" formation_enthalpy_0k_ev_per_atom=-3.426 total_magnetization_mub_per_cell=0.000 pbc="T T T"
Al 1.5249 3.0317 4.5294
Al 3.0317 -1.5249 7.5490
Al -3.2396 6.2762 4.3258
Al 4.5386 3.0317 -1.5098
Al -0.2127 3.2395 7.3454
Al 6.2762 2.8239 1.3062
Al 6.0635 0.0000 3.0196
Al 3.2396 0.2127 4.7330
Al -0.2127 2.8239 1.7134
Al 2.8239 5.8508 -1.3062
Al 0.0000 0.0000 0.0000
Al 3.0317 7.5884 1.5098
Al 0.2127 9.3031 1.7134
Al 3.2395 5.8508 4.3258
O -2.2945 5.2530 5.3697
O 4.8445 5.3891 4.9637
O -2.6445 7.9067 3.8682
O 5.3891 -1.2190 1.9441
O 8.3580 0.8105 -0.6694
O 7.2825 -0.6744 4.0951
O 0.4443 3.7025 5.7478
O 3.7025 6.5078 2.7283
O 0.4443 2.3610 3.3109
O -0.6744 1.2190 1.0755
O -1.8432 3.4190 2.1710
O 2.3610 -0.4443 8.7674
O 2.6445 4.2203 3.8682
O 3.4190 4.2203 -0.8486
O 0.8105 3.7690 0.6694
O 6.7379 1.2190 1.9441
O 5.2530 3.7690 2.3501
O 3.7025 -0.4443 6.3305
O 4.8445 0.6744 4.0951
O 1.8432 8.7080 2.1710
O 2.3610 6.5078 0.2913
O -1.8432 2.6445 6.8878
O 5.6192 3.7025 -2.7283
O 5.2530 2.2945 6.7086
O 0.8105 2.2945 8.3893
O 3.7690 6.8740 -2.3501
O 0.6744 10.9080 1.0755
O 2.2945 -0.8105 3.6890
O 7.9067 3.4190 0.8486
O -4.8445 6.7379 4.9637
O 2.6445 1.8432 5.1906
O 5.6192 2.3610 -0.2913
Cl 0.0000 0.0000 6.0392
Cl 0.0000 6.0635 3.0196
Ca -1.6248 3.0317 4.5294
Ca 7.6883 3.0317 -1.5098
Ca 0.0000 0.0000 3.2651
Ca 7.4450 -3.0317 4.5294
Ca 3.0317 1.6248 7.5490
Ca 9.0952 1.3815 1.5098
Ca 4.6820 3.0317 4.5294
Ca 0.0000 6.0635 0.2455
Ca 0.0000 0.0000 8.8132
Ca 3.0317 -1.3815 1.5098
Ca 3.0317 4.4387 1.5098
Ca 0.0000 6.0635 5.7936

63
Lattice="10.4597 0.0000 0.0000 -3.5054 9.8663 0.0000 -3.4982 -4.9093 8.5649" Properties=species:S:1:pos:R:3 comment="Ca12Al11Si3Cl5O32, relaxed, DFT GGA-PBE" formation_enthalpy_0k_ev_per_atom=-3.355 total_magnetization_mub_per_cell=0.004 pbc="T T T"
Si -3.5994 2.8376 4.2899
Si 1.6157 2.3111 3.9877
Si -0.1574 7.2379 4.5848
Cl -2.6569 7.4198 2.1552
Cl 4.3460 0.6275 5.3435
Cl -0.8926 2.5053 6.4409
Cl 2.6023 5.5565 3.1921
Cl 7.8514 1.8264 1.0802
Al 3.8226 4.9047 0.0034
Al 6.0820 -2.4304 6.3775
Al -1.4214 4.9226 0.0052
Al 4.3268 8.0185 1.0656
Al 3.3535 4.7984 8.2506
Al -1.8521 -2.1200 4.2877
Al 0.8965 -0.5574 5.3580
Al -0.8543 4.3330 3.2314
Al -4.3971 3.0672 7.4713
Al 4.3740 2.4428 2.1969
Al 5.0883 -0.1445 0.2853
O -2.5527 3.9802 3.6481
O 1.9223 -2.0224 5.2003
O 0.0180 8.8800 0.1031
O -3.0618 1.3169 4.2606
O 5.4455 3.1307 3.4501
O -4.0383 1.4036 7.8657
O 2.6115 8.4545 1.0126
O 7.0754 -1.7172 5.1224
O -3.9366 3.4957 5.7820
O -0.7932 -0.8753 5.0279
O 2.6532 2.3427 2.6876
O 2.9979 5.7774 6.7852
O -4.7653 6.1060 4.4383
O 4.6886 0.7761 1.7809
O 1.8216 3.8864 8.3886
O 4.6195 3.5511 0.8684
O 1.2767 0.6809 4.1307
O 1.2149 -0.1144 7.0123
O 0.5648 0.7095 1.0560
O 4.3763 3.5561 7.4533
O 0.1843 2.8914 3.3429
O -4.0982 -1.3251 7.7112
O 0.3917 7.9598 3.2501
O 4.6399 6.3144 0.7295
O 4.3588 -2.6325 5.9085
O -1.4135 -0.1134 8.5025
O 8.2583 -1.3503 2.7106
O -0.5679 4.8206 1.5889
O 7.3014 4.9441 0.0476
O -0.5188 5.6025 4.4349
O 2.0854 -4.1661 7.4239
O 2.1194 3.0734 5.3168
Ca 0.9123 3.0438 0.9184
Ca 0.6858 4.7630 6.5190
Ca 6.1892 5.1769 2.1105
Ca 2.7356 1.7542 7.3832
Ca -1.0029 0.6610 2.9861
Ca 4.1632 4.4435 5.1816
Ca 1.0250 6.6452 1.1582
Ca -2.7445 5.6428 5.4946
Ca 5.9700 -0.5393 3.3541
Ca 2.7591 -1.8744 7.7229
Ca -2.5187 0.2082 6.4318
Ca 2.4752 -0.2229 2.1078

44
Lattice="1.6117 -8.5300 3.7431 6.9423 -0.3158 -6.4088 7.4020 2.3013 5.7487" Properties=species:S:1:pos:R:3 comment="CaAl2Si4Cl3O12, relaxed, DFT GGA-PBE" formation_enthalpy_0k_ev_per_atom=-2.736 total_magnetization_mub_per_cell=5.960 pbc="T T T"
Si 10.3409 -5.7129 6.2734
Si 13.3145 -1.1307 0.6102
Si 13.8523 -3.9488 1.9686
Si 3.1884 -0.8011 -1.1385
Si 11.4202 0.1961 -1.4521
Si 2.0109 -2.6156 1.1040
Si 12.7045 -5.7175 4.1546
Si 7.2817 -6.1811 6.4295
Al 5.6109 -0.7799 -3.2171
Al 8.8007 -0.3587 -3.2271
Al 4.6890 -6.6945 4.6033
Al 2.6013 -5.4176 2.5146
O 11.2752 -5.6394 4.9388
O 5.6020 1.0562 3.7961
O 12.8144 -4.4277 3.1460
O 6.2875 -6.3000 5.2051
O 11.0991 1.4361 -0.4623
O 9.2959 1.5739 3.4999
O 10.0962 -0.4309 -2.0485
O 13.0971 0.0038 1.6794
O 7.0450 -4.8111 7.2586
O 2.6866 -3.9606 1.5970
O 10.2678 -4.3560 7.0676
O 8.9022 -1.7853 -4.2189
O 12.3330 -0.9630 -0.7113
O 2.6217 -2.1564 -0.3682
O 10.6375 -7.4439 -0.4375
O 3.5740 -5.5072 3.9482
O 7.1251 -0.0351 -2.8148
O 4.5313 -1.1180 -1.9161
O 6.5986 -8.0061 -0.6001
O 4.8499 -8.0296 3.4983
O 8.8470 -6.3348 5.9277
O 13.2235 -2.6372 1.2283
O 7.8517 -0.6515 6.2503
O 7.9114 -5.9832 -3.1001
Cl 6.2076 -3.5467 3.0193
Cl 8.3569 -5.1468 2.7174
Cl 5.9638 -3.2750 0.4816
Cl 9.7567 -2.9694 2.7204
Cl 9.7135 -3.0563 0.1338
Cl 7.6381 -1.3424 0.2950
Ca 7.7610 -0.0833 4.0077
Ca 8.6473 -6.5871 -0.7893